Entry 1:
13
Lattice="-1.8537 -6.6494 -2.0234 -0.6645 -7.1289 0.6943 -7.6794 -5.9208 2.3156" Properties=species:S:1:pos:R:3 comment="RbMn4O8, optimized geometry, DFT PBE+U" dft_energy_ev_per_cell=-90.069 space_group="C2/m, No. 12" mass_density_kg_m3=4764 energy_mp2020_ev_per_atom=-7.86 e_form_ev_per_fu=-25.02 pbc="T T T"
Rb -1.2591 -6.8892 -0.6646
Mn -4.5936 -7.6849 0.6541
Mn -1.8267 -3.3347 0.2109
Mn -8.3709 -16.3644 0.7755
Mn -5.6040 -12.0142 0.3323
O -3.5272 -9.1342 -0.0683
O -5.3194 -5.9790 1.2726
O -3.3461 -4.4445 0.6799
O -7.7635 -8.4521 1.9058
O -2.4341 -11.2470 -0.9193
O -6.8515 -15.2546 0.3065
O -4.8782 -13.7201 -0.2862
O -6.6704 -10.5649 1.0547

=====

Entry 2:
24
Lattice="5.2485 -0.7742 2.4162 -4.8183 -0.7404 3.1967 -1.7020 -10.6607 0.2810" Properties=species:S:1:pos:R:3 comment="Mn3SnO8, optimized geometry, DFT PBE+U" dft_energy_ev_per_cell=-164.016 mass_density_kg_m3=4525 energy_mp2020_ev_per_atom=-7.71 e_form_ev_per_fu=-21.43 pbc="T T T"
Mn 0.2151 -0.7573 2.8065
Mn -2.1941 -1.1275 4.4048
Mn -2.4092 -0.3702 1.5984
Mn 1.9884 -6.4748 4.1551
Mn -0.8510 -5.3303 0.1405
Mn -0.6359 -6.0877 2.9470
Sn 0.2507 -8.9467 3.6212
Sn -1.5225 -3.2286 2.2728
O 0.3333 -5.5261 4.5379
O -3.1419 -10.4693 3.4703
O 1.8701 -1.7061 2.4236
O -1.6051 -6.6492 1.3561
O -4.1038 -7.1064 2.7993
O -0.6287 -2.1632 3.8667
O 0.9493 -7.1926 2.6659
O -0.8241 -1.4753 1.3174
O -1.2394 -7.5289 4.1180
O -3.0125 -1.8116 2.7693
O 1.7407 -10.3637 3.1247
O -0.0324 -4.6464 1.7760
O -0.4477 -10.7000 4.5766
O -2.2211 -4.9827 3.2281
O -0.6431 -10.0121 2.0273
O 2.8320 -5.0689 3.0946